# 1
First-principles (r²SCAN) data for a relaxed HoZn3P3 crystal, as listed in the Materials Project database.

CIF file:
```
data_HoZn3P3
_cell_length_a 3.9629
_cell_length_b 3.9629
_cell_length_c 19.7469
_cell_angle_alpha 90.00
_cell_angle_beta 90.00
_cell_angle_gamma 120.00
_symmetry_space_group_name_H-M 'P 63/m m c'
_symmetry_Int_Tables_number 194
_symmetry_space_group_name_Hall '-P 6c 2c'
loop_
_atom_site_label
_atom_site_type_symbol
_atom_site_fract_x
_atom_site_fract_y
_atom_site_fract_z
Ho1 Ho 0.0000 0.0000 0.0000
Zn1 Zn 0.3333 0.6667 0.1285
Zn2 Zn 0.3333 0.6667 0.7500
P1 P 0.3333 0.6667 0.2500
P2 P 0.3333 0.6667 0.5839
```

=====

# 2
First-principles (r²SCAN) data for a relaxed HoPaTc2 crystal, as listed in the Materials Project database.

CIF file:
```
data_HoPaTc2
_cell_length_a 6.810
_cell_length_b 6.810
_cell_length_c 6.810
_cell_angle_alpha 90.00
_cell_angle_beta 90.00
_cell_angle_gamma 90.00
_symmetry_space_group_name_H-M 'F m -3 m'
_symmetry_Int_Tables_number 225
_symmetry_space_group_name_Hall '-F 4 2 3'
loop_
_atom_site_label
_atom_site_type_symbol
_atom_site_fract_x
_atom_site_fract_y
_atom_site_fract_z
Ho1 Ho 0.000 0.000 0.000
Pa1 Pa 0.000 0.000 0.500
Tc1 Tc 0.250 0.250 0.250
```

=====

Calculated formation energy, respectively: -0.728, -0.194 eV per atom.